Version one
Entry from Materials Project: a relaxed structure of MgAl4H12O12 (PBE-GGA).

POSCAR file:
```
MgAl4H12O12
1.0
3.3214 -0.2871 6.3418
-4.0766 -5.8088 1.4239
1.7063 -0.9910 -6.9146
O H Al Mg
12 12 4 1
Direct
0.9965 0.3853 0.6012
0.9136 0.2544 0.9989
0.5644 0.5672 0.3057
0.4766 0.8645 0.5721
0.5868 0.1561 0.0023
0.4096 0.3798 0.6377
0.0726 0.6801 0.9673
0.0767 0.0540 0.3993
0.4616 0.0917 0.3576
0.4021 0.7877 0.9720
0.9916 0.5842 0.3686
0.8920 0.8955 0.5845
0.9748 0.3760 0.9947
0.4483 0.4564 0.2725
0.9381 0.7118 0.9688
0.2805 0.1080 0.1823
0.1456 0.6747 0.4224
0.8678 0.2940 0.5760
0.9700 0.9693 0.5415
0.7730 0.7649 0.9782
0.4722 0.9132 0.9760
0.9472 0.9276 0.2178
0.6094 0.8196 0.7447
0.4606 0.2018 0.0003
0.0121 0.2966 0.3429
0.9824 0.6535 0.6434
0.4869 0.1415 0.6583
0.4774 0.8241 0.3062
0.5930 0.5830 0.9921
```

- symmetry = P1
- crystal system = triclinic

***

Version two
Entry from Materials Project: a relaxed structure of MgAl4H12O12 (PBE-GGA).

POSCAR file:
```
MgAl4H12O12
1.0
5.1561 -2.6966 4.7782
-2.8123 -7.0171 -0.5407
-0.5736 3.6890 -7.0972
H O Al Mg
12 12 4 1
Direct
0.0991 0.0547 0.8258
0.9334 0.6995 0.9338
0.9379 0.9754 0.2727
0.6242 0.8779 0.7352
0.7063 0.3025 0.3413
0.5063 0.9130 0.0518
0.1360 0.6899 0.4421
0.4511 0.4340 0.2247
0.4182 0.2077 0.9284
0.4126 0.1538 0.2650
0.0770 0.2342 0.0590
0.5322 0.5112 0.8445
0.9347 0.9104 0.6457
0.9357 0.3720 0.5223
0.5353 0.1155 0.4325
0.0071 0.5968 0.4021
0.0433 0.0661 0.2881
0.5571 0.1873 0.9372
0.9323 0.2956 0.0212
0.0639 0.6610 0.9423
0.5757 0.5876 0.3422
0.4241 0.7897 0.0197
0.4677 0.8861 0.5493
0.4261 0.4082 0.6514
0.5101 0.8263 0.3304
0.4784 0.1566 0.6416
0.9905 0.3268 0.3092
0.9932 0.6701 0.6407
0.9843 0.3494 0.8064
```

- symmetry = P1
- crystal system = triclinic

***

Referenced to the most stable arrangement, the calculated values in meV/atom are version one 0; version two 96.

***

Version one
Entry from Materials Project: a relaxed structure of AsS (PBE-GGA).

POSCAR file:
```
AsS
1.0
4.9176 5.3638 0.0000
-4.9176 5.3638 0.0000
0.0000 2.0427 9.3269
As S
8 8
Direct
0.2139 0.7919 0.0657
0.7861 0.2081 0.9343
0.7513 0.5535 0.6368
0.4465 0.2487 0.8632
0.2487 0.4465 0.3632
0.5535 0.7513 0.1368
0.7919 0.2139 0.5657
0.2081 0.7861 0.4343
0.9332 0.0668 0.7500
0.1183 0.5054 0.1609
0.4946 0.8817 0.3391
0.5054 0.1183 0.6609
0.8817 0.4946 0.8391
0.4538 0.5462 0.7500
0.0668 0.9332 0.2500
0.5462 0.4538 0.2500
```

- symmetry = C2/c
- crystal system = monoclinic

***

Version two
Entry from Materials Project: a relaxed structure of AsS (PBE-GGA).

POSCAR file:
```
AsS
1.0
-1.9011 -9.9542 0.4087
8.5270 -1.5350 2.2766
-1.1675 0.6499 10.3972
S As
16 16
Direct
0.5520 0.9602 0.8019
0.4757 0.4989 0.2509
0.0243 0.9989 0.2509
0.9757 0.0011 0.7491
0.7880 0.3065 0.1699
0.9759 0.2850 0.4631
0.2120 0.6935 0.8301
0.5243 0.5011 0.7491
0.7120 0.8065 0.1699
0.2880 0.1935 0.8301
0.4759 0.2150 0.5369
0.0241 0.7150 0.5369
0.5241 0.7850 0.4631
0.0520 0.5398 0.1981
0.4480 0.0398 0.1981
0.9480 0.4602 0.8019
0.6511 0.1669 0.8483
0.6307 0.9524 0.3149
0.1307 0.5476 0.6851
0.6337 0.3393 0.6337
0.4558 0.3191 0.9122
0.1511 0.3331 0.1517
0.3489 0.8331 0.1517
0.0442 0.8191 0.9122
0.3693 0.0476 0.6851
0.8489 0.6669 0.8483
0.1337 0.1607 0.3663
0.5442 0.6809 0.0878
0.8693 0.4524 0.3149
0.8663 0.8393 0.6337
0.3663 0.6607 0.3663
0.9558 0.1809 0.0878
```

- symmetry = P2_1/c
- crystal system = monoclinic

***

Referenced to the most stable arrangement, the calculated values in meV/atom are version one 0; version two 19.

***

Version one
Entry from Materials Project: a relaxed structure of C2S3 (PBE-GGA).

POSCAR file:
```
C2S3
1.0
-5.7953 0.0000 1.9504
0.0000 -6.7002 0.0000
5.9205 0.0000 9.4433
S C
12 8
Direct
0.6807 0.4973 0.3267
0.6603 0.2007 0.6414
0.2073 0.1811 0.4822
0.3397 0.7993 0.3586
0.3193 0.5027 0.6733
0.1603 0.2993 0.1414
0.8397 0.7007 0.8586
0.2927 0.6811 0.0178
0.8193 0.9973 0.1733
0.1807 0.0027 0.8267
0.7927 0.8189 0.5178
0.7073 0.3189 0.9822
0.8934 0.5046 0.9626
0.1084 0.8062 0.8977
0.3916 0.3062 0.6023
0.6084 0.6938 0.3977
0.8916 0.1938 0.1023
0.6066 0.0046 0.5374
0.1066 0.4954 0.0374
0.3934 0.9954 0.4626
```

- symmetry = P2_1/c
- crystal system = monoclinic

***

Version two
Entry from Materials Project: a relaxed structure of C2S3 (PBE-GGA).

POSCAR file:
```
C2S3
1.0
7.1150 -3.7943 2.6193
1.7955 4.2847 -9.3864
3.0895 9.0545 4.7241
S C
24 16
Direct
0.4092 0.5755 0.7137
0.4092 0.0755 0.7863
0.4668 0.3249 0.9374
0.7630 0.8848 0.8411
0.5332 0.6751 0.0626
0.2666 0.3800 0.6628
0.5332 0.1751 0.4374
0.2370 0.1152 0.1589
0.5908 0.4245 0.2863
0.1042 0.8278 0.0979
0.2370 0.6152 0.3411
0.7334 0.1200 0.1628
0.0495 0.9262 0.3543
0.9505 0.0738 0.6457
0.2666 0.8800 0.8372
0.9505 0.5738 0.8543
0.8958 0.6722 0.5979
0.0495 0.4262 0.1457
0.4668 0.8249 0.5626
0.7334 0.6200 0.3372
0.1042 0.3278 0.4021
0.8958 0.1722 0.9021
0.5908 0.9245 0.2137
0.7630 0.3848 0.6589
0.7176 0.4328 0.5112
0.2198 0.4317 0.5176
0.2198 0.9317 0.9824
0.6185 0.3405 0.4220
0.8744 0.0449 0.7883
0.8744 0.5449 0.7117
0.7802 0.5683 0.4824
0.2824 0.0672 0.0112
0.2824 0.5672 0.4888
0.1256 0.9551 0.2117
0.7802 0.0683 0.0176
0.1256 0.4551 0.2883
0.7176 0.9328 0.9888
0.3815 0.1595 0.9220
0.6185 0.8405 0.0780
0.3815 0.6595 0.5780
```

- symmetry = P2_1/c
- crystal system = monoclinic

***

Referenced to the most stable arrangement, the calculated values in meV/atom are version one 31; version two 0.